#w
Computed, not measured: crystalline LiMg6FeO8 at its relaxed geometry at the PBE with a Hubbard U level of DFT.

```
data_LiMg6FeO8
_chemical_formula_sum 'Li1 Mg6 Fe1 O8'
_cell_length_a 4.2162
_cell_length_b 4.2162
_cell_length_c 8.5528
_cell_angle_alpha 90.00
_cell_angle_beta 90.00
_cell_angle_gamma 90.00
_space_group_name_H-M_alt 'P 4/m m m'
_space_group_IT_number 123
_space_group_name_Hall '-P 4 2'
loop_
_atom_site_label
_atom_site_fract_x
_atom_site_fract_y
_atom_site_fract_z
Li1 0.0000 0.0000 0.0000
Mg1 0.0000 0.0000 0.5000
Mg2 0.0000 0.5000 0.2473
Mg3 0.5000 0.5000 0.5000
Fe1 0.5000 0.5000 0.0000
O1 0.0000 0.0000 0.2568
O2 0.0000 0.5000 0.0000
O3 0.0000 0.5000 0.5000
O4 0.5000 0.5000 0.2411
```

***

#x
Computed, not measured: crystalline LiMg6FeO8 at its relaxed geometry at the PBE with a Hubbard U level of DFT.

```
data_LiMg6FeO8
_chemical_formula_sum 'Li1 Mg6 Fe1 O8'
_cell_length_a 4.2359
_cell_length_b 4.2359
_cell_length_c 8.5546
_cell_angle_alpha 90.00
_cell_angle_beta 90.00
_cell_angle_gamma 90.00
_space_group_name_H-M_alt 'P 4/m m m'
_space_group_IT_number 123
_space_group_name_Hall '-P 4 2'
loop_
_atom_site_label
_atom_site_fract_x
_atom_site_fract_y
_atom_site_fract_z
Li1 0.0000 0.0000 0.0000
Mg1 0.0000 0.5000 0.2368
Mg2 0.5000 0.5000 0.0000
Mg3 0.5000 0.5000 0.5000
Fe1 0.0000 0.0000 0.5000
O1 0.0000 0.0000 0.2691
O2 0.0000 0.5000 0.0000
O3 0.0000 0.5000 0.5000
O4 0.5000 0.5000 0.2539
```

***

Need the numbers? Relative energies in kJ/mol of atoms: #w 0.0; #x 0.8.

***

#w
Computed, not measured: crystalline Li4Mn5Fe4O18 at its relaxed geometry at the PBE with a Hubbard U level of DFT.

```
data_Li4Mn5Fe4O18
_chemical_formula_sum 'Li8 Mn10 Fe8 O36'
_cell_length_a 9.1176
_cell_length_b 2.9099
_cell_length_c 24.9098
_cell_angle_alpha 90.00
_cell_angle_beta 90.18
_cell_angle_gamma 90.00
_space_group_name_H-M_alt 'P 1 2/m 1'
_space_group_IT_number 10
_space_group_name_Hall '-P 2y'
loop_
_atom_site_label
_atom_site_fract_x
_atom_site_fract_y
_atom_site_fract_z
Li1 0.1777 0.0000 0.0065
Li2 0.2052 0.0000 0.7960
Li3 0.2909 0.0000 0.2953
Li4 0.3206 0.0000 0.5063
Mn1 0.0000 0.0000 0.5000
Mn2 0.0052 0.0000 0.8947
Mn3 0.1487 0.5000 0.1904
Mn4 0.3485 0.5000 0.6906
Mn5 0.4935 0.0000 0.3950
Mn6 0.5000 0.0000 0.0000
Fe1 0.0186 0.0000 0.6914
Fe2 0.1468 0.5000 0.4113
Fe3 0.3503 0.5000 0.9112
Fe4 0.4858 0.0000 0.1918
O1 0.0028 0.0000 0.4232
O2 0.0412 0.5000 0.0580
O3 0.0481 0.5000 0.8412
O4 0.1018 0.0000 0.2384
O5 0.1175 0.5000 0.3313
O6 0.1415 0.5000 0.4961
O7 0.1515 0.5000 0.7169
O8 0.1844 0.0000 0.1412
O9 0.2029 0.0000 0.9186
O10 0.2974 0.0000 0.4182
O11 0.3115 0.0000 0.6410
O12 0.3477 0.5000 0.2145
O13 0.3549 0.5000 0.9977
O14 0.3860 0.5000 0.8332
O15 0.3926 0.0000 0.7386
O16 0.4520 0.5000 0.3409
O17 0.4544 0.5000 0.5578
O18 0.4940 0.0000 0.9236
```

***

#x
Computed, not measured: crystalline Li4Mn5Fe4O18 at its relaxed geometry at the PBE with a Hubbard U level of DFT.

```
data_Li4Mn5Fe4O18
_chemical_formula_sum 'Li8 Mn10 Fe8 O36'
_cell_length_a 9.1084
_cell_length_b 2.9124
_cell_length_c 24.7828
_cell_angle_alpha 90.00
_cell_angle_beta 90.08
_cell_angle_gamma 90.00
_space_group_name_H-M_alt 'P 1 m 1'
_space_group_IT_number 6
_space_group_name_Hall 'P -2y'
loop_
_atom_site_label
_atom_site_fract_x
_atom_site_fract_y
_atom_site_fract_z
Li1 0.0000 0.0000 0.0000
Li2 0.0216 0.0000 0.2120
Li3 0.1102 0.0000 0.7096
Li4 0.1320 0.0000 0.4999
Li5 0.4994 0.0000 0.5180
Li6 0.5216 0.0000 0.3057
Li7 0.6043 0.0000 0.8019
Li8 0.6324 0.0000 0.0183
Mn1 0.1616 0.5000 0.3179
Mn2 0.3140 0.0000 0.4051
Mn3 0.3169 0.0000 0.0099
Mn4 0.3169 0.0000 0.6123
Mn5 0.4690 0.5000 0.6997
Mn6 0.6612 0.5000 0.1985
Mn7 0.8145 0.0000 0.1117
Mn8 0.8152 0.0000 0.5085
Mn9 0.8151 0.0000 0.9047
Mn10 0.9712 0.5000 0.8186
Fe1 0.1594 0.5000 0.0967
Fe2 0.3015 0.0000 0.8168
Fe3 0.3223 0.0000 0.2013
Fe4 0.4681 0.5000 0.9214
Fe5 0.6595 0.5000 0.4209
Fe6 0.8081 0.0000 0.7022
Fe7 0.8232 0.0000 0.3150
Fe8 0.9708 0.5000 0.5961
O1 0.0088 0.0000 0.8675
O2 0.0097 0.0000 0.0875
O3 0.1209 0.0000 0.5882
O4 0.1218 0.0000 0.3667
O5 0.1729 0.5000 0.7936
O6 0.1740 0.5000 0.0117
O7 0.1874 0.5000 0.1770
O8 0.2099 0.0000 0.2699
O9 0.2578 0.5000 0.4505
O10 0.2735 0.5000 0.6662
O11 0.3062 0.0000 0.0880
O12 0.3238 0.0000 0.9324
O13 0.3568 0.5000 0.3512
O14 0.3723 0.5000 0.5666
O15 0.4229 0.0000 0.7477
O16 0.4294 0.5000 0.8419
O17 0.4601 0.5000 0.0072
O18 0.4600 0.5000 0.2233
O19 0.5084 0.0000 0.6504
O20 0.5095 0.0000 0.4290
O21 0.6183 0.0000 0.9277
O22 0.6226 0.0000 0.1495
O23 0.6712 0.5000 0.7254
O24 0.6723 0.5000 0.5064
O25 0.6898 0.5000 0.3403
O26 0.7087 0.0000 0.2468
O27 0.7584 0.5000 0.0662
O28 0.7743 0.5000 0.8507
O29 0.8053 0.0000 0.4306
O30 0.8249 0.0000 0.5865
O31 0.8569 0.5000 0.1655
O32 0.8701 0.5000 0.9505
O33 0.9257 0.0000 0.7700
O34 0.9410 0.5000 0.6767
O35 0.9583 0.5000 0.5107
O36 0.9604 0.5000 0.2924
```

***

Need the numbers? Relative energies in kJ/mol of atoms: #w 0.7; #x 0.0.

***

#w
Computed, not measured: crystalline Li2MnFe3O8 at its relaxed geometry at the PBE with a Hubbard U level of DFT.

```
data_Li2MnFe3O8
_chemical_formula_sum 'Li4 Mn2 Fe6 O16'
_cell_length_a 5.9078
_cell_length_b 5.9078
_cell_length_c 9.5516
_cell_angle_alpha 90.00
_cell_angle_beta 90.00
_cell_angle_gamma 120.00
_space_group_name_H-M_alt 'P 63 m c'
_space_group_IT_number 186
_space_group_name_Hall 'P 6c -2c'
loop_
_atom_site_label
_atom_site_fract_x
_atom_site_fract_y
_atom_site_fract_z
Li1 0.0000 0.0000 0.0000
Li2 0.3333 0.6667 0.4026
Mn1 0.3333 0.6667 0.9882
Fe1 0.1693 0.3387 0.7179
O1 0.0000 0.0000 0.3125
O2 0.0417 0.5209 0.8527
O3 0.1689 0.3378 0.1036
O4 0.3333 0.6667 0.6098
```

***

#x
Computed, not measured: crystalline Li2MnFe3O8 at its relaxed geometry at the PBE with a Hubbard U level of DFT.

```
data_Li2MnFe3O8
_chemical_formula_sum 'Li4 Mn2 Fe6 O16'
_cell_length_a 10.2703
_cell_length_b 5.8568
_cell_length_c 6.0022
_cell_angle_alpha 90.00
_cell_angle_beta 125.05
_cell_angle_gamma 90.00
_space_group_name_H-M_alt 'C 1 2/m 1'
_space_group_IT_number 12
_space_group_name_Hall '-C 2y'
loop_
_atom_site_label
_atom_site_fract_x
_atom_site_fract_y
_atom_site_fract_z
Li1 0.2500 0.2500 0.0000
Mn1 0.0000 0.0000 0.5000
Fe1 0.0000 0.5000 0.5000
Fe2 0.2500 0.2500 0.5000
O1 0.0046 0.2517 0.2931
O2 0.2292 0.0000 0.7132
O3 0.2296 0.5000 0.7125
```

***

Need the numbers? Relative energies in kJ/mol of atoms: #w 0.0; #x 2.4.

***

#w
Computed, not measured: crystalline Li5Mn7Fe3O20 at its relaxed geometry at the PBE with a Hubbard U level of DFT.

```
data_Li5Mn7Fe3O20
_chemical_formula_sum 'Li10 Mn14 Fe6 O40'
_cell_length_a 5.7674
_cell_length_b 5.7680
_cell_length_c 24.0564
_cell_angle_alpha 96.68
_cell_angle_beta 90.23
_cell_angle_gamma 119.74
_space_group_name_H-M_alt 'P 1'
_space_group_IT_number 1
_space_group_name_Hall 'P 1'
loop_
_atom_site_label
_atom_site_fract_x
_atom_site_fract_y
_atom_site_fract_z
Li1 0.0000 0.0000 0.0000
Li2 0.0448 0.0918 0.1468
Li3 0.1961 0.3964 0.5983
Li4 0.2471 0.4902 0.7458
Li5 0.3967 0.7974 0.2004
Li6 0.4437 0.8951 0.3491
Li7 0.5896 0.1968 0.7998
Li8 0.6479 0.2930 0.9474
Li9 0.7950 0.5991 0.3986
Li10 0.8476 0.6941 0.5475
Mn1 0.0233 0.5461 0.0723
Mn2 0.1185 0.2457 0.3745
Mn3 0.1184 0.7427 0.8751
Mn4 0.1198 0.2439 0.8751
Mn5 0.2164 0.9408 0.6715
Mn6 0.3184 0.6440 0.4736
Mn7 0.4206 0.3490 0.2749
Mn8 0.5186 0.0441 0.5727
Mn9 0.5222 0.0448 0.0721
Mn10 0.5226 0.5452 0.0724
Mn11 0.6188 0.7439 0.8755
Mn12 0.7204 0.4418 0.6720
Mn13 0.8177 0.1446 0.4737
Mn14 0.9207 0.8464 0.2751
Fe1 0.3181 0.1448 0.4737
Fe2 0.3206 0.6441 0.9738
Fe3 0.7177 0.9400 0.6716
Fe4 0.7291 0.4439 0.1752
Fe5 0.9151 0.8495 0.7721
Fe6 0.9181 0.3458 0.2752
O1 0.0053 0.4593 0.9217
O2 0.0500 0.6411 0.2317
O3 0.0548 0.1122 0.7153
O4 0.0549 0.6501 0.7158
O5 0.0733 0.1503 0.2331
O6 0.1637 0.3397 0.5151
O7 0.1909 0.8296 0.0258
O8 0.1919 0.3839 0.0263
O9 0.2048 0.8595 0.5205
O10 0.2415 0.0322 0.8303
O11 0.2493 0.5072 0.3228
O12 0.2521 0.0644 0.3228
O13 0.2718 0.5485 0.8325
O14 0.3709 0.7410 0.1150
O15 0.3863 0.7814 0.6240
O16 0.3870 0.2268 0.6242
O17 0.3973 0.2555 0.1166
O18 0.4333 0.4299 0.4266
O19 0.4493 0.9048 0.9216
O20 0.4501 0.4580 0.9217
O21 0.4720 0.9480 0.4321
O22 0.5636 0.1363 0.7137
O23 0.5811 0.1760 0.2308
O24 0.5874 0.6394 0.2307
O25 0.5938 0.6479 0.7159
O26 0.6371 0.8295 0.0258
O27 0.6507 0.3068 0.5206
O28 0.6512 0.8591 0.5206
O29 0.6759 0.3512 0.0301
O30 0.7652 0.5417 0.3170
O31 0.7821 0.0355 0.8310
O32 0.7850 0.5768 0.8306
O33 0.8046 0.0608 0.3227
O34 0.8322 0.2244 0.6241
O35 0.8561 0.7130 0.1169
O36 0.8570 0.2542 0.1166
O37 0.8713 0.7449 0.6295
O38 0.9667 0.9376 0.9174
O39 0.9851 0.9831 0.4269
O40 0.9857 0.4310 0.4269
```

***

#x
Computed, not measured: crystalline Li5Mn7Fe3O20 at its relaxed geometry at the PBE with a Hubbard U level of DFT.

```
data_Li5Mn7Fe3O20
_chemical_formula_sum 'Li10 Mn14 Fe6 O40'
_cell_length_a 5.9404
_cell_length_b 5.9453
_cell_length_c 24.4389
_cell_angle_alpha 83.89
_cell_angle_beta 83.34
_cell_angle_gamma 60.70
_space_group_name_H-M_alt 'P 1'
_space_group_IT_number 1
_space_group_name_Hall 'P 1'
loop_
_atom_site_label
_atom_site_fract_x
_atom_site_fract_y
_atom_site_fract_z
Li1 0.0000 0.0000 0.0000
Li2 0.0399 0.0510 0.8540
Li3 0.1859 0.1930 0.4032
Li4 0.2620 0.2373 0.2540
Li5 0.4031 0.3821 0.8005
Li6 0.4490 0.4585 0.6500
Li7 0.5929 0.6010 0.2002
Li8 0.6482 0.6334 0.0559
Li9 0.8039 0.7788 0.6033
Li10 0.8435 0.8611 0.4503
Mn1 0.0211 0.5219 0.9279
Mn2 0.1234 0.6161 0.1276
Mn3 0.1242 0.1162 0.1272
Mn4 0.1263 0.1170 0.6266
Mn5 0.2225 0.7192 0.3275
Mn6 0.3222 0.8222 0.5269
Mn7 0.4247 0.9187 0.7266
Mn8 0.5107 0.5330 0.4270
Mn9 0.5213 0.5213 0.9280
Mn10 0.5223 0.0203 0.9271
Mn11 0.6245 0.1158 0.1278
Mn12 0.7234 0.2195 0.3281
Mn13 0.8217 0.3213 0.5263
Mn14 0.9244 0.4190 0.7259
Fe1 0.3217 0.3219 0.5267
Fe2 0.3240 0.3164 0.0276
Fe3 0.7244 0.7206 0.3267
Fe4 0.7246 0.7138 0.8267
Fe5 0.9233 0.9175 0.7271
Fe6 0.9292 0.9176 0.2278
O1 0.0070 0.4414 0.0827
O2 0.0155 0.9592 0.5779
O3 0.0472 0.5759 0.7726
O4 0.0670 0.5957 0.2807
O5 0.0764 0.0388 0.2824
O6 0.0756 0.0857 0.7684
O7 0.1646 0.1567 0.4856
O8 0.1953 0.6347 0.9737
O9 0.1963 0.1842 0.9717
O10 0.2022 0.6634 0.4793
O11 0.2410 0.7918 0.1713
O12 0.2430 0.2672 0.6768
O13 0.2615 0.8131 0.6774
O14 0.2935 0.2360 0.1712
O15 0.3724 0.4039 0.3765
O16 0.3809 0.8355 0.3757
O17 0.4022 0.3501 0.8840
O18 0.4027 0.8471 0.8825
O19 0.4400 0.9837 0.5747
O20 0.4552 0.9979 0.0818
O21 0.4606 0.4408 0.0838
O22 0.4800 0.4863 0.5675
O23 0.5599 0.5645 0.2854
O24 0.5846 0.0327 0.7737
O25 0.6051 0.5645 0.7722
O26 0.6092 0.0586 0.2814
O27 0.6280 0.6850 0.4754
O28 0.6399 0.6934 0.9718
O29 0.6418 0.1910 0.9723
O30 0.6488 0.2213 0.4760
O31 0.7721 0.7527 0.6846
O32 0.7889 0.7910 0.1722
O33 0.7960 0.2360 0.1730
O34 0.8145 0.2525 0.6769
O35 0.8240 0.3910 0.3772
O36 0.8482 0.4050 0.8833
O37 0.8484 0.8555 0.8824
O38 0.8874 0.8731 0.3695
O39 0.9540 0.9961 0.0834
O40 0.9912 0.4243 0.5763
```

***

Need the numbers? Relative energies in kJ/mol of atoms: #w 5.7; #x 0.0.